## Cr2SiC (PBE-GGA)

Data for an optimized crystal structure of Cr2SiC.

a b c (Å): 2.8744 2.8744 11.9139
angles (deg): 90.00 90.00 120.00
Fractional coordinates of all 8 atoms:
Cr 0.3333 0.6667 0.4104
Cr 0.6667 0.3333 0.5896
Cr 0.6667 0.3333 0.9104
Cr 0.3333 0.6667 0.0896
Si 0.3333 0.6667 0.7500
Si 0.6667 0.3333 0.2500
C 0.0000 0.0000 0.5000
C 0.0000 0.0000 0.0000

* magnetization: 0.28 μB per formula unit


## YCr2Si2C (PBE-GGA)

Data for an optimized crystal structure of YCr2Si2C.

a b c (Å): 3.9654 3.9654 5.2569
angles (deg): 90.00 90.00 90.00
Fractional coordinates of all 6 atoms:
Y 0.0000 0.0000 0.5000
Cr 0.0000 0.5000 0.0000
Cr 0.5000 0.0000 0.0000
Si 0.5000 0.5000 0.2710
Si 0.5000 0.5000 0.7290
C 0.0000 0.0000 0.0000

* magnetization: 1.33 μB per formula unit


## Ti4CrC5 (PBE-GGA)

Data for an optimized crystal structure of Ti4CrC5.

a b c (Å): 12.4663 12.4663 12.4663
angles (deg): 13.93 13.93 13.93
Fractional coordinates of all 10 atoms:
Ti 0.6020 0.6020 0.6020
Ti 0.2006 0.2006 0.2006
Ti 0.7994 0.7994 0.7994
Ti 0.3980 0.3980 0.3980
Cr 0.0000 0.0000 0.0000
C 0.0984 0.0984 0.0984
C 0.9016 0.9016 0.9016
C 0.5000 0.5000 0.5000
C 0.6970 0.6970 0.6970
C 0.3030 0.3030 0.3030

* magnetization: 0.65 μB per formula unit


## UCr4C4 (PBE-GGA)

Data for an optimized crystal structure of UCr4C4.

a b c (Å): 5.8232 5.8232 5.8232
angles (deg): 93.86 93.86 149.94
Fractional coordinates of all 9 atoms:
U 0.0000 0.0000 0.0000
Cr 0.8207 0.6353 0.4560
Cr 0.1793 0.3647 0.5440
Cr 0.6353 0.1793 0.8146
Cr 0.3647 0.8207 0.1854
C 0.2650 0.5959 0.8610
C 0.7350 0.4041 0.1390
C 0.5959 0.7350 0.3309
C 0.4041 0.2650 0.6691


no.,DFT total energy (eV per atom)
1,-8.633
2,-8.099
3,-9.343
4,-9.815